Na14Hf4Si11Ge4SO48: relaxed, PBE.

a = 17.9159 Å, b = 8.9420 Å, c = 22.2535 Å
α = 89.98°, β = 90.18°, γ = 120.01°
Last column: nearest neighbours and their distance in Å.
Fractional positions:
Hf  0.6635  0.6527  0.3122  5 O 1.95-2.10
Hf  0.3388  0.3474  0.1882  5 O 1.94-2.09
Hf  0.6651  0.6649  0.8124  6 O 2.01-2.11
Hf  0.8330  0.3335  0.9829  6 O 2.02-2.10
Hf  0.1664  0.6527  0.3132  5 O 1.96-2.10
Hf  0.8340  0.3327  0.4828  6 O 2.03-2.10
Hf  0.8393  0.3366  0.6888  6 O 2.01-2.15
Hf  0.6647  0.6649  0.5175  6 O 2.03-2.11
Hf  0.1665  0.6792  0.8132  5 O 1.96-2.09
Hf  0.6659  0.6659  0.0175  6 O 2.02-2.09
Hf  0.8387  0.3473  0.1885  5 O 1.95-2.09
Hf  0.1670  0.6659  0.0169  6 O 2.03-2.09
O  0.9140  0.5366  0.7467  1 Si 1.64
O  0.2675  0.8286  0.4769  1 Si 1.65
O  0.6742  0.4978  0.0792  1 Si 1.63
O  0.3141  0.1250  0.1431  1 Si 1.61
O  0.3129  0.4917  0.6437  1 Si 1.66
O  0.9037  0.8400  0.1902  1 Si 1.66, 1 Ge 1.85
O  0.7305  0.1536  0.2458  1 S 1.49
O  0.3533  0.1722  0.0240  1 Si 1.65
O  0.1039  0.0271  0.3053  1 S 1.48
O  0.2300  0.2908  0.0233  1 Si 1.66
O  0.4011  0.9658  0.6889  1 Si 1.64
O  0.4212  0.4915  0.4247  1 Si 1.65
O  0.2302  0.1535  0.2460  1 S 1.49
O  0.9938  0.1597  0.5937  1 Si 1.66
O  0.1554  0.4619  0.7538  1 S 1.50
O  0.4152  0.5410  0.0232  1 Si 1.65
O  0.5903  0.9731  0.1947  1 S 1.48
O  0.2754  0.7087  0.9738  1 Si 1.64
O  0.6749  0.8502  0.5792  1 Si 1.63
O  0.5970  0.1585  0.8099  1 Si 1.65
O  0.0903  0.9729  0.1950  1 S 1.48
O  0.4113  0.2885  0.2471  1 Si 1.64
O  0.1889  0.8817  0.8612  1 Si 1.63
O  0.5786  0.4482  0.9744  1 Si 1.63
O  0.7494  0.8490  0.0794  1 Si 1.63
O  0.9230  0.8234  0.5894  1 Si 1.66
O  0.4078  0.5156  0.7418  1 Si 1.67
O  0.9410  0.3774  0.6390  1 Si 1.62
O  0.4359  0.3737  0.6429  1 Si 1.64, 1 Ge 1.82
O  0.1457  0.4594  0.4774  1 Si 1.65
O  0.7501  0.1503  0.9211  1 Si 1.63
O  0.9842  0.8085  0.8100  1 Si 1.66, 1 Ge 1.83
O  0.8151  0.5068  0.6430  1 Si 1.62
O  0.4785  0.7957  0.8084  1 Si 1.65
O  0.2550  0.1366  0.6416  1 Si 1.64
O  0.4845  0.1541  0.5900  1 Si 1.65
O  0.0799  0.5115  0.5751  1 Si 1.65
O  0.6502  0.4710  0.7533  1 Si 1.64
O  0.8547  0.5507  0.5256  1 Si 1.63
O  0.5778  0.7107  0.4750  1 Si 1.64
O  0.5617  0.6265  0.3603  1 Si 1.62
O  0.6859  0.4971  0.3602  1 Si 1.62
O  0.0799  0.9856  0.9063  1 Si 1.65
O  0.5793  0.1959  0.6895  1 Si 1.64
O  0.0847  0.4747  0.2530  1 Si 1.62
O  0.2522  0.8812  0.3584  1 Si 1.62
O  0.6453  0.8417  0.9739  1 Si 1.64
O  0.0857  0.6964  0.7531  1 Si 1.62
O  0.7523  0.8763  0.3562  1 Si 1.62
O  0.7499  0.3481  0.4212  1 Si 1.63
O  0.2327  0.3070  0.7447  1 S 1.49
O  0.5703  0.4983  0.5788  1 Si 1.63
O  0.7751  0.7099  0.9743  1 Si 1.63
O  0.1536  0.8460  0.2545  1 S 1.49
O  0.7492  0.6497  0.5790  1 Si 1.63
O  0.7490  0.3670  0.1410  1 Si 1.61
O  0.9212  0.5567  0.0253  1 Si 1.64
O  0.0667  0.6322  0.3600  1 Si 1.61
O  0.6039  0.0266  0.3050  1 S 1.48
O  0.9221  0.0234  0.0897  1 Si 1.65
O  0.5731  0.6489  0.0770  1 Si 1.63
O  0.4879  0.8214  0.0917  1 Si 1.66
O  0.9039  0.9667  0.6899  1 Si 1.65
O  0.4208  0.0275  0.0878  1 Si 1.66
O  0.7470  0.1254  0.6430  1 Si 1.62
O  0.0128  0.1757  0.9068  1 Si 1.65
O  0.3235  0.4905  0.9246  1 Si 1.65
O  0.9226  0.2875  0.5248  1 Si 1.63
O  0.9842  0.1598  0.3103  1 Si 1.66, 1 Ge 1.84
O  0.0850  0.7094  0.4772  1 Si 1.66
O  0.2500  0.3679  0.1403  1 Si 1.61
O  0.4036  0.8400  0.1896  1 Si 1.66, 1 Ge 1.84
O  0.2503  0.8541  0.0772  1 Si 1.63
O  0.5764  0.1714  0.4061  1 Si 1.65
O  0.0804  0.1799  0.4089  1 Si 1.66
O  0.4190  0.8116  0.5908  1 Si 1.65
O  0.5872  0.1489  0.0929  1 Si 1.66
O  0.9118  0.2885  0.2470  1 Si 1.64
O  0.1438  0.8434  0.9753  1 Si 1.63
O  0.1893  0.4978  0.3620  1 Si 1.62
O  0.4110  0.8420  0.9078  1 Si 1.65
O  0.5758  0.9767  0.9080  1 Si 1.64
O  0.6430  0.4436  0.4748  1 Si 1.64
O  0.2672  0.7123  0.2535  1 Si 1.64
O  0.3219  0.1534  0.4265  1 Si 1.65
O  0.9191  0.8061  0.3115  1 Si 1.65, 1 Ge 1.83
O  0.8249  0.4988  0.9208  1 Si 1.62
O  0.0167  0.8390  0.6888  1 Si 1.65, 1 Ge 1.82
O  0.3494  0.1826  0.7410  1 Si 1.67
O  0.4135  0.2922  0.5243  1 Si 1.64
O  0.6844  0.8767  0.8571  1 Si 1.63
O  0.9251  0.3485  0.9211  1 Si 1.63
O  0.4180  0.0431  0.8082  1 Si 1.66
O  0.0912  0.2083  0.6943  1 S 1.49
O  0.7651  0.8294  0.7535  1 Si 1.65
O  0.0163  0.1947  0.1888  1 Si 1.65, 1 Ge 1.83
O  0.1764  0.4980  0.0773  1 Si 1.63
O  0.4185  0.8061  0.3112  1 Si 1.64, 1 Ge 1.82
O  0.8249  0.1504  0.4206  1 Si 1.63
O  0.2538  0.3535  0.4266  1 Si 1.65
O  0.3529  0.5339  0.5247  1 Si 1.65
O  0.1799  0.8531  0.5762  1 Si 1.66
O  0.9909  0.8277  0.0942  1 Si 1.65
O  0.7739  0.8389  0.4738  1 Si 1.64
O  0.2531  0.6232  0.8572  1 Si 1.63
O  0.3470  0.5264  0.2479  1 Si 1.62
O  0.5810  0.6906  0.7528  1 Si 1.64
O  0.7665  0.7109  0.2537  1 Si 1.65
O  0.2310  0.1701  0.5240  1 Si 1.65
O  0.5868  0.0226  0.5912  1 Si 1.65
O  0.5087  0.1753  0.9086  1 Si 1.64
O  0.0760  0.6514  0.0790  1 Si 1.62
O  0.4211  0.3521  0.9249  1 Si 1.65
O  0.9280  0.5040  0.4229  1 Si 1.63
O  0.0150  0.8489  0.4092  1 Si 1.67
O  0.7534  0.6304  0.8573  1 Si 1.62
O  0.4833  0.1593  0.3103  1 Si 1.66, 1 Ge 1.84
O  0.0907  0.1528  0.0907  1 Si 1.66
O  0.0655  0.4991  0.8591  1 Si 1.61
O  0.9113  0.8441  0.9106  1 Si 1.65
O  0.7362  0.3022  0.7466  1 Si 1.63
O  0.9190  0.0310  0.8111  1 Si 1.64, 1 Ge 1.83
O  0.4066  0.9765  0.4128  1 Si 1.66
O  0.2467  0.6399  0.5763  1 Si 1.66
O  0.5170  0.8376  0.6892  1 Si 1.64
O  0.4372  0.5013  0.1394  1 Si 1.61
O  0.1059  0.1817  0.8044  1 S 1.48
O  0.8143  0.1234  0.1439  1 Si 1.61
O  0.5098  0.8448  0.4076  1 Si 1.66
O  0.5837  0.4736  0.2522  1 Si 1.62
O  0.8470  0.5262  0.2480  1 Si 1.62
O  0.7245  0.1587  0.5261  1 Si 1.64
O  0.8456  0.1659  0.7475  1 Si 1.62
O  0.0937  0.0280  0.5918  1 Si 1.66
O  0.2547  0.1582  0.9249  1 Si 1.64
O  0.9377  0.5029  0.1400  1 Si 1.62
O  0.2653  0.8266  0.7530  1 Si 1.63
O  0.5582  0.4914  0.8584  1 Si 1.63
O  0.8546  0.1595  0.0263  1 Si 1.64
O  0.6535  0.8461  0.2542  1 S 1.49
O  0.5156  0.1939  0.1889  1 Si 1.65, 1 Ge 1.83
O  0.9108  0.9774  0.4106  1 Si 1.66
O  0.0785  0.4452  0.9746  1 Si 1.64
O  0.7227  0.2877  0.0255  1 Si 1.64
Na  0.4998  0.9992  0.5011  6 O 2.48-2.57
Na  0.8368  0.3343  0.8320  6 O 2.46-2.55
Na  0.3185  0.6359  0.7495  4 O 2.33-2.55
Na  0.4989  0.3664  0.7495  4 O 2.35-2.58
Na  0.0007  0.0013  0.0001  6 O 2.50-2.57
Na  0.1645  0.6734  0.6662  6 O 2.47-2.66
Na  0.8162  0.6318  0.7497  3 O 2.30-2.55
Na  0.3482  0.6635  0.4168  6 O 2.43-2.68
Na  0.6667  0.6666  0.6665  6 O 2.50-2.54
Na  0.1680  0.3039  0.9178  5 O 2.43-2.62
Na  0.6488  0.3308  0.5850  6 O 2.41-2.67
Na  0.9854  0.3038  0.4157  6 O 2.46-2.67
Na  0.6653  0.0282  0.4167  6 O 2.43-2.71
Na  0.8337  0.9716  0.5844  6 O 2.49-2.71
Na  0.6644  0.6555  0.1676  6 O 2.44-2.64
Na  0.8487  0.0321  0.9156  6 O 2.45-2.69
Na  0.3325  0.9612  0.5836  6 O 2.39-2.65
Na  0.0187  0.6999  0.5836  6 O 2.44-2.66
Na  0.0007  0.0003  0.5000  6 O 2.49-2.56
Na  0.9856  0.6668  0.9155  6 O 2.49-2.67
Na  0.5158  0.3347  0.0843  6 O 2.40-2.67
Na  0.1648  0.6555  0.1676  6 O 2.45-2.65
Na  0.6840  0.0005  0.7496  6 O 2.37-2.64
Na  0.3194  0.0004  0.2500  2 O 2.26
Na  0.5000  0.9998  0.9989  6 O 2.50-2.55
Na  0.5151  0.7003  0.5842  6 O 2.39-2.66
Na  0.8494  0.6654  0.4154  6 O 2.44-2.68
Na  0.3492  0.0317  0.9162  6 O 2.45-2.69
Na  0.8369  0.3447  0.3325  6 O 2.43-2.65
Na  0.1512  0.3345  0.5822  5 O 2.39-2.61
Na  0.4822  0.3018  0.4166  6 O 2.44-2.69
Na  0.0169  0.3345  0.0844  6 O 2.43-2.66
Na  0.4827  0.6654  0.9165  6 O 2.43-2.69
Na  0.6646  0.2994  0.9153  6 O 2.44-2.68
Na  0.6501  0.9681  0.0834  5 O 2.40-2.67
Na  0.3322  0.3275  0.8332  6 O 2.51-2.60
Na  0.3328  0.6980  0.0842  6 O 2.43-2.68
Na  0.3365  0.3440  0.3338  6 O 2.46-2.66
Na  0.1513  0.9697  0.0831  5 O 2.38-2.63
Na  0.8329  0.6966  0.0846  6 O 2.47-2.69
Na  0.1677  0.0347  0.4180  5 O 2.40-2.63
Na  0.8192  0.9998  0.2500  2 O 2.27
Si  0.9822  0.6366  0.0851  4 O 1.62-1.65
Si  0.0030  0.7241  0.7498  4 O 1.62-1.66
Si  0.0195  0.3660  0.9138  4 O 1.61-1.65
Si  0.8603  0.7194  0.2506  4 O 1.62-1.66
Si  0.8143  0.9597  0.4141  4 O 1.62-1.66
Si  0.0239  0.6732  0.4165  4 O 1.61-1.67
Si  0.3328  0.6179  0.5840  4 O 1.65-1.66
Si  0.9855  0.3345  0.5835  4 O 1.62-1.66
Si  0.6396  0.2779  0.7497  4 O 1.63-1.65
Si  0.6826  0.0390  0.5860  4 O 1.62-1.65
Si  0.6632  0.9625  0.9143  4 O 1.63-1.64
Si  0.3336  0.0476  0.0835  4 O 1.61-1.66
Si  0.8620  0.0031  0.7502  4 O 1.62-1.65
Si  0.4748  0.3271  0.5837  4 O 1.63-1.65
Si  0.5152  0.3643  0.9162  4 O 1.63-1.65
Si  0.5159  0.6666  0.4157  4 O 1.62-1.66
Si  0.1672  0.3718  0.4197  4 O 1.62-1.66
Si  0.1905  0.0475  0.5838  4 O 1.64-1.66
Si  0.3099  0.9590  0.4187  4 O 1.62-1.66
Si  0.8156  0.6693  0.9152  4 O 1.62-1.65
Si  0.1669  0.9698  0.9171  4 O 1.63-1.65
Si  0.3577  0.0054  0.7473  4 O 1.63-1.67
Si  0.4779  0.6283  0.0824  4 O 1.61-1.66
Si  0.4954  0.7119  0.7476  4 O 1.64-1.67
Si  0.0016  0.2813  0.2498  4 O 1.62-1.66
Si  0.6826  0.3257  0.0862  4 O 1.61-1.66
Si  0.8342  0.0396  0.0863  4 O 1.61-1.65
Si  0.1872  0.3276  0.0834  4 O 1.61-1.66
Si  0.3606  0.7194  0.2502  4 O 1.62-1.66
Si  0.8347  0.6308  0.5853  4 O 1.62-1.66
Si  0.6634  0.3631  0.4151  4 O 1.62-1.65
Si  0.3164  0.6658  0.9151  4 O 1.63-1.65
Si  0.5008  0.2802  0.2497  4 O 1.62-1.66
Ge  0.3325  0.3326  0.4826  6 O 1.89-1.99
Ge  0.3330  0.3345  0.9820  6 O 1.91-1.97
Ge  0.9965  0.9878  0.6453  5 O 1.82-1.99
Ge  0.4983  0.9985  0.6477  6 O 1.86-2.01
Ge  0.1671  0.6672  0.5184  6 O 1.89-2.02
Ge  0.4928  0.0037  0.1443  5 O 1.83-1.97
Ge  0.4976  0.9982  0.8509  6 O 1.88-1.97
Ge  0.9932  0.9966  0.3552  5 O 1.83-2.00
Ge  0.4897  0.9949  0.3559  5 O 1.82-1.93
Ge  0.9947  0.0040  0.1453  5 O 1.83-1.98
Ge  0.3379  0.3296  0.6816  5 O 1.82-2.01
Ge  0.9936  0.9895  0.8548  5 O 1.83-1.94
S  0.1421  0.9998  0.2502  4 O 1.48-1.49
S  0.1448  0.2851  0.7493  4 O 1.48-1.50
S  0.6420  0.0002  0.2500  4 O 1.48-1.49

Calculated values
E_tot ... -0.259 hartree per atom
Calculated volume ... 1029 Å³/f.u.
Crystal system ... triclinic
Size of the total moment ... 0.002 μB per formula unit